# LiFe2B2O6

LiFe2B2O6 after structural relaxation (GGA+U, Materials Project).

As for the volume: 11.07 Å³ per atom. For the formation energy from the elements, the calculation gives -2.269 eV per atom. The calculation puts the relative energy among the computed polymorphs at 0.011 eV/atom.

a = 5.247 Å, b = 9.146 Å, c = 11.364 Å
α = 67.11°, β = 76.92°, γ = 89.99°
Sites, in units of the cell vectors:
Li: 0.000 0.000 0.000
Li: 0.040 0.022 0.269
Li: 0.263 0.285 0.762
Li: 0.546 0.526 0.261
Fe: 0.011 0.673 0.977
Fe: 0.065 0.375 0.231
Fe: 0.258 0.603 0.478
Fe: 0.279 0.964 0.732
Fe: 0.501 0.190 0.989
Fe: 0.557 0.880 0.231
Fe: 0.756 0.100 0.487
Fe: 0.792 0.471 0.734
B: 0.003 0.349 0.976
B: 0.053 0.718 0.225
B: 0.262 0.932 0.479
B: 0.299 0.629 0.734
B: 0.514 0.847 0.982
B: 0.548 0.212 0.238
B: 0.766 0.432 0.479
B: 0.791 0.145 0.731
O: 0.016 0.962 0.460
O: 0.039 0.130 0.750
O: 0.087 0.451 0.026
O: 0.133 0.219 0.972
O: 0.146 0.725 0.782
O: 0.181 0.528 0.687
O: 0.265 0.855 0.952
O: 0.276 0.682 0.277
O: 0.388 0.815 0.443
O: 0.392 0.018 0.528
O: 0.434 0.106 0.198
O: 0.436 0.347 0.236
O: 0.521 0.467 0.459
O: 0.557 0.624 0.729
O: 0.603 0.962 0.020
O: 0.635 0.258 0.764
O: 0.663 0.726 0.979
O: 0.677 0.052 0.681
O: 0.781 0.379 0.926
O: 0.783 0.177 0.280
O: 0.891 0.319 0.441
O: 0.894 0.516 0.532
O: 0.944 0.610 0.186
O: 0.946 0.860 0.211

***

# LiFe2B2O6

LiFe2B2O6 after structural relaxation (GGA+U, Materials Project).

As for the volume: 11.03 Å³ per atom. For the formation energy from the elements, the calculation gives -2.263 eV per atom. The calculation puts the relative energy among the computed polymorphs at 0.017 eV/atom.

a = 5.208 Å, b = 9.119 Å, c = 11.417 Å
α = 67.03°, β = 77.47°, γ = 89.76°
Sites, in units of the cell vectors:
Li: 0.000 0.000 0.000
Li: 0.048 0.027 0.272
Li: 0.284 0.287 0.750
Li: 0.730 0.754 0.530
Fe: 0.011 0.671 0.986
Fe: 0.044 0.382 0.246
Fe: 0.254 0.586 0.482
Fe: 0.279 0.960 0.737
Fe: 0.497 0.183 0.001
Fe: 0.560 0.868 0.237
Fe: 0.769 0.099 0.497
Fe: 0.786 0.464 0.758
B: 0.064 0.719 0.231
B: 0.260 0.913 0.490
B: 0.292 0.623 0.742
B: 0.513 0.843 0.987
B: 0.540 0.209 0.247
B: 0.752 0.434 0.491
B: 0.789 0.140 0.746
B: 0.997 0.341 0.994
O: 0.006 0.928 0.470
O: 0.041 0.124 0.764
O: 0.084 0.443 0.045
O: 0.127 0.213 0.988
O: 0.145 0.718 0.794
O: 0.167 0.517 0.705
O: 0.262 0.854 0.957
O: 0.274 0.684 0.292
O: 0.380 0.005 0.536
O: 0.389 0.328 0.255
O: 0.409 0.794 0.461
O: 0.446 0.094 0.210
O: 0.485 0.427 0.510
O: 0.561 0.629 0.722
O: 0.600 0.956 0.028
O: 0.640 0.257 0.778
O: 0.666 0.725 0.979
O: 0.669 0.051 0.697
O: 0.770 0.375 0.946
O: 0.795 0.198 0.274
O: 0.875 0.535 0.534
O: 0.900 0.341 0.436
O: 0.947 0.859 0.216
O: 0.978 0.611 0.186

***

# LiFe2B2O6

LiFe2B2O6 after structural relaxation (GGA+U, Materials Project).

As for the volume: 11.01 Å³ per atom. For the formation energy from the elements, the calculation gives -2.266 eV per atom. The calculation puts the relative energy among the computed polymorphs at 0.014 eV/atom.

a = 5.231 Å, b = 9.151 Å, c = 10.129 Å
α = 88.57°, β = 89.38°, γ = 89.47°
Sites, in units of the cell vectors:
Li: 0.000 0.000 0.000
Li: 0.146 0.164 0.269
Li: 0.474 0.498 0.507
Li: 0.654 0.648 0.769
Fe: 0.001 0.337 0.989
Fe: 0.149 0.502 0.236
Fe: 0.150 0.835 0.733
Fe: 0.486 0.159 0.494
Fe: 0.502 0.816 0.996
Fe: 0.652 0.983 0.243
Fe: 0.653 0.315 0.741
Fe: 0.968 0.680 0.484
B: 0.149 0.499 0.737
B: 0.157 0.830 0.236
B: 0.472 0.826 0.492
B: 0.492 0.156 0.993
B: 0.651 0.324 0.242
B: 0.653 0.990 0.743
B: 0.988 0.666 0.986
B: 0.991 0.336 0.485
O: 0.016 0.959 0.224
O: 0.029 0.634 0.709
O: 0.043 0.702 0.278
O: 0.101 0.471 0.446
O: 0.118 0.546 0.042
O: 0.123 0.210 0.467
O: 0.123 0.794 0.950
O: 0.220 0.840 0.539
O: 0.233 0.163 0.008
O: 0.411 0.481 0.720
O: 0.415 0.830 0.204
O: 0.494 0.442 0.247
O: 0.507 0.865 0.773
O: 0.532 0.119 0.702
O: 0.551 0.185 0.276
O: 0.591 0.950 0.438
O: 0.595 0.694 0.501
O: 0.631 0.031 0.038
O: 0.633 0.269 0.935
O: 0.734 0.656 0.960
O: 0.738 0.337 0.538
O: 0.910 0.984 0.757
O: 0.913 0.333 0.211
O: 0.997 0.385 0.781

***

# LiFe2B2O6

LiFe2B2O6 after structural relaxation (GGA+U, Materials Project).

As for the volume: 11.05 Å³ per atom. For the formation energy from the elements, the calculation gives -2.274 eV per atom. The calculation puts the relative energy among the computed polymorphs at 0.006 eV/atom.

a = 5.240 Å, b = 9.126 Å, c = 10.167 Å
α = 90.60°, β = 90.24°, γ = 90.09°
Sites, in units of the cell vectors:
Li: 0.000 0.000 0.000
Li: 0.029 0.993 0.504
Li: 0.353 0.344 0.219
Li: 0.533 0.498 0.493
Fe: 0.010 0.660 0.966
Fe: 0.031 0.333 0.466
Fe: 0.353 0.679 0.716
Fe: 0.366 0.004 0.217
Fe: 0.508 0.181 0.963
Fe: 0.537 0.829 0.463
Fe: 0.837 0.521 0.218
Fe: 0.855 0.181 0.719
B: 0.021 0.340 0.970
B: 0.023 0.669 0.471
B: 0.341 0.672 0.213
B: 0.359 0.009 0.710
B: 0.516 0.838 0.966
B: 0.524 0.169 0.460
B: 0.854 0.507 0.715
B: 0.867 0.178 0.213
O: 0.012 0.616 0.769
O: 0.015 0.057 0.189
O: 0.101 0.674 0.155
O: 0.103 0.032 0.693
O: 0.272 0.338 0.997
O: 0.277 0.656 0.516
O: 0.361 0.728 0.913
O: 0.391 0.041 0.420
O: 0.391 0.964 0.015
O: 0.408 0.303 0.450
O: 0.448 0.804 0.258
O: 0.464 0.876 0.672
O: 0.466 0.544 0.234
O: 0.513 0.119 0.761
O: 0.602 0.170 0.188
O: 0.605 0.533 0.690
O: 0.773 0.156 0.510
O: 0.775 0.826 0.968
O: 0.873 0.465 0.995
O: 0.895 0.211 0.920
O: 0.895 0.542 0.431
O: 0.910 0.803 0.467
O: 0.964 0.375 0.677
O: 0.973 0.309 0.256

***

# Li3FeB8O15

Li3FeB8O15 after structural relaxation (GGA+U, Materials Project).

As for the volume: 11.77 Å³ per atom. For the formation energy from the elements, the calculation gives -2.652 eV per atom.

a = 9.243 Å, b = 11.465 Å, c = 11.995 Å
α = 90.00°, β = 90.90°, γ = 90.00°
Sites, in units of the cell vectors:
Li: 0.017 0.167 0.217
Li: 0.017 0.333 0.717
Li: 0.389 0.660 0.052
Li: 0.389 0.840 0.552
Li: 0.427 0.080 0.077
Li: 0.427 0.420 0.577
Li: 0.573 0.580 0.423
Li: 0.573 0.920 0.923
Li: 0.611 0.160 0.448
Li: 0.611 0.340 0.948
Li: 0.983 0.667 0.283
Li: 0.983 0.833 0.783
Fe: 0.254 0.161 0.469
Fe: 0.254 0.339 0.969
Fe: 0.746 0.661 0.031
Fe: 0.746 0.839 0.531
B: 0.003 0.709 0.598
B: 0.003 0.791 0.098
B: 0.153 0.599 0.471
B: 0.153 0.901 0.971
B: 0.222 0.615 0.671
B: 0.222 0.885 0.171
B: 0.280 0.132 0.698
B: 0.280 0.368 0.198
B: 0.305 0.559 0.857
B: 0.305 0.941 0.357
B: 0.325 0.539 0.316
B: 0.325 0.961 0.816
B: 0.364 0.747 0.287
B: 0.364 0.753 0.787
B: 0.399 0.161 0.877
B: 0.399 0.339 0.377
B: 0.601 0.661 0.623
B: 0.601 0.839 0.123
B: 0.636 0.247 0.213
B: 0.636 0.253 0.713
B: 0.675 0.039 0.184
B: 0.675 0.461 0.684
B: 0.695 0.059 0.643
B: 0.695 0.441 0.143
B: 0.720 0.632 0.802
B: 0.720 0.868 0.302
B: 0.778 0.115 0.829
B: 0.778 0.385 0.329
B: 0.847 0.099 0.029
B: 0.847 0.401 0.529
B: 0.997 0.209 0.902
B: 0.997 0.291 0.402
O: 0.029 0.668 0.490
O: 0.029 0.832 0.990
O: 0.077 0.664 0.688
O: 0.077 0.836 0.188
O: 0.092 0.202 0.380
O: 0.092 0.298 0.880
O: 0.180 0.576 0.362
O: 0.180 0.924 0.862
O: 0.202 0.186 0.616
O: 0.202 0.314 0.116
O: 0.239 0.563 0.559
O: 0.239 0.937 0.059
O: 0.256 0.525 0.754
O: 0.256 0.975 0.254
O: 0.294 0.014 0.708
O: 0.294 0.486 0.208
O: 0.324 0.010 0.448
O: 0.324 0.490 0.948
O: 0.325 0.719 0.681
O: 0.325 0.781 0.181
O: 0.345 0.677 0.877
O: 0.345 0.823 0.377
O: 0.348 0.206 0.777
O: 0.348 0.294 0.277
O: 0.405 0.042 0.894
O: 0.405 0.458 0.394
O: 0.421 0.640 0.309
O: 0.421 0.860 0.809
O: 0.424 0.236 0.965
O: 0.424 0.264 0.465
O: 0.576 0.736 0.535
O: 0.576 0.764 0.035
O: 0.579 0.140 0.191
O: 0.579 0.360 0.691
O: 0.595 0.542 0.606
O: 0.595 0.958 0.106
O: 0.652 0.706 0.723
O: 0.652 0.794 0.223
O: 0.655 0.177 0.623
O: 0.655 0.323 0.123
O: 0.675 0.219 0.819
O: 0.675 0.281 0.319
O: 0.676 0.510 0.052
O: 0.676 0.990 0.552
O: 0.706 0.514 0.792
O: 0.706 0.986 0.292
O: 0.744 0.025 0.746
O: 0.744 0.475 0.246
O: 0.761 0.063 0.941
O: 0.761 0.437 0.441
O: 0.798 0.686 0.884
O: 0.798 0.814 0.384
O: 0.820 0.076 0.138
O: 0.820 0.424 0.638
O: 0.908 0.702 0.120
O: 0.908 0.798 0.620
O: 0.923 0.164 0.812
O: 0.923 0.336 0.312
O: 0.971 0.168 0.010
O: 0.971 0.332 0.510

***

# LiFe2B2O6

LiFe2B2O6 after structural relaxation (GGA+U, Materials Project).

As for the volume: 11.02 Å³ per atom. For the formation energy from the elements, the calculation gives -2.268 eV per atom. The calculation puts the relative energy among the computed polymorphs at 0.011 eV/atom.

a = 5.237 Å, b = 9.149 Å, c = 10.121 Å
α = 88.94°, β = 89.15°, γ = 89.23°
Sites, in units of the cell vectors:
Li: 0.000 0.000 0.000
Li: 0.002 0.010 0.482
Li: 0.500 0.511 0.482
Li: 0.824 0.853 0.731
Fe: 0.023 0.341 0.454
Fe: 0.328 0.031 0.706
Fe: 0.340 0.685 0.205
Fe: 0.502 0.186 0.955
Fe: 0.516 0.842 0.456
Fe: 0.838 0.187 0.215
Fe: 0.844 0.511 0.709
Fe: 0.990 0.672 0.959
B: 0.002 0.342 0.953
B: 0.011 0.680 0.462
B: 0.343 0.014 0.202
B: 0.345 0.685 0.705
B: 0.497 0.857 0.958
B: 0.507 0.179 0.454
B: 0.827 0.181 0.704
B: 0.839 0.515 0.211
O: 0.081 0.679 0.739
O: 0.082 0.033 0.195
O: 0.260 0.336 0.956
O: 0.265 0.669 0.416
O: 0.356 0.987 0.929
O: 0.360 0.739 0.007
O: 0.376 0.053 0.492
O: 0.397 0.314 0.457
O: 0.449 0.883 0.246
O: 0.456 0.819 0.678
O: 0.489 0.559 0.692
O: 0.502 0.128 0.159
O: 0.583 0.535 0.224
O: 0.586 0.182 0.763
O: 0.758 0.853 0.937
O: 0.767 0.163 0.412
O: 0.862 0.220 0.001
O: 0.873 0.464 0.904
O: 0.887 0.551 0.503
O: 0.890 0.813 0.469
O: 0.934 0.311 0.660
O: 0.951 0.381 0.245
O: 0.952 0.049 0.685
O: 0.995 0.627 0.164

***

# Li9Fe4B8O24

Li9Fe4B8O24 after structural relaxation (GGA+U, Materials Project).

As for the volume: 10.44 Å³ per atom. For the formation energy from the elements, the calculation gives -2.344 eV per atom. The calculation puts the relative energy among the computed polymorphs at 0.000 eV/atom.

a = 5.254 Å, b = 8.953 Å, c = 9.994 Å
α = 90.00°, β = 87.35°, γ = 89.77°
Sites, in units of the cell vectors:
Li: 0.000 0.000 0.000
Li: 0.000 0.316 0.488
Li: 0.337 0.336 0.263
Li: 0.346 0.662 0.743
Li: 0.486 0.163 0.511
Li: 0.495 0.838 0.982
Li: 0.823 0.809 0.214
Li: 0.837 0.819 0.760
Li: 0.849 0.480 0.245
Fe: 0.014 0.655 0.500
Fe: 0.315 0.005 0.252
Fe: 0.516 0.499 0.003
Fe: 0.817 0.156 0.751
B: 0.000 0.992 0.509
B: 0.328 0.668 0.245
B: 0.339 0.995 0.758
B: 0.499 0.497 0.492
B: 0.502 0.163 0.006
B: 0.834 0.492 0.748
B: 0.838 0.152 0.259
B: 0.997 0.656 0.001
O: 0.076 0.998 0.781
O: 0.077 0.660 0.296
O: 0.235 0.015 0.445
O: 0.258 0.655 0.974
O: 0.364 0.371 0.470
O: 0.370 0.036 0.051
O: 0.373 0.627 0.534
O: 0.402 0.302 0.031
O: 0.449 0.804 0.230
O: 0.457 0.126 0.715
O: 0.460 0.539 0.205
O: 0.475 0.869 0.783
O: 0.575 0.156 0.281
O: 0.597 0.515 0.810
O: 0.737 0.141 0.942
O: 0.762 0.500 0.471
O: 0.862 0.786 0.998
O: 0.869 0.119 0.552
O: 0.878 0.522 0.035
O: 0.897 0.853 0.530
O: 0.933 0.354 0.723
O: 0.948 0.015 0.218
O: 0.967 0.619 0.705
O: 0.980 0.274 0.281